Density functional theory data (PBE-GGA) for YHoCu2 after structural relaxation.

Computed properties:
Theoretical density (Mg/m³): 7.66
Energy of formation (kJ/mol of atoms): -24

Cell and atoms, written as CIF:
```
data_YHoCu2
_symmetry_space_group_name_H-M 'F m -3 m'
_symmetry_Int_Tables_number 225
_symmetry_space_group_name_Hall '-F 4 2 3'
_cell_length_a 6.9124
_cell_length_b 6.9124
_cell_length_c 6.9124
_cell_angle_alpha 90.00
_cell_angle_beta 90.00
_cell_angle_gamma 90.00
loop_
_atom_site_label
_atom_site_type_symbol
_atom_site_fract_x
_atom_site_fract_y
_atom_site_fract_z
_atom_site_occupancy
Y1 Y 0.0000 0.0000 0.0000 1
Ho1 Ho 0.0000 0.0000 0.5000 1
Cu1 Cu 0.2500 0.2500 0.2500 1
```